No. 1
A relaxed structure of Li3MnVP3O12, computed with GGA+U.

Crystal system: triclinic
ΔH_f (0 K) (eV/atom): -2.638

abc: 8.6180 8.7920 11.9919
angles: 90.09 91.66 90.77
Last column: nearest neighbours and their distance in Å.
Element x y z (fractional)
1 O 0.8113 0.1798 0.5656  1 P 1.56
2 O 0.2676 0.0286 0.7233  1 P 1.55
3 O 0.3111 0.3242 0.0650  1 P 1.57
4 O 0.6018 0.8643 0.0845  1 P 1.58
5 O 0.8622 0.4193 0.0253  1 P 1.53
6 O 0.8753 0.2031 0.1659  1 P 1.58
7 O 0.5462 0.3745 0.9465  1 P 1.54
8 O 0.1888 0.8212 0.4341  1 P 1.56
9 O 0.2298 0.5291 0.7762  1 P 1.54
10 O 0.7634 0.0490 0.9354  1 P 1.56
11 O 0.9509 0.8866 0.1030  1 P 1.51
12 O 0.8710 0.9927 0.7501  1 P 1.60
13 O 0.4487 0.6049 0.6054  1 P 1.52
14 O 0.0512 0.1072 0.8953  1 P 1.52
15 O 0.1251 0.7941 0.8296  1 P 1.57
16 O 0.3269 0.2300 0.3123  1 P 1.56
17 O 0.6363 0.9182 0.4740  1 P 1.53
18 O 0.6284 0.7054 0.3313  1 P 1.57
19 O 0.9547 0.8702 0.5538  1 P 1.53
20 O 0.4515 0.6326 0.0561  1 P 1.54
21 O 0.8994 0.3631 0.4180  1 P 1.56
22 O 0.2368 0.9501 0.0627  1 P 1.57
23 O 0.1762 0.7303 0.1881  1 P 1.55
24 O 0.9458 0.6645 0.3984  1 P 1.55
25 O 0.0449 0.1299 0.4457  1 P 1.53
26 O 0.6726 0.7697 0.6894  1 P 1.55
27 O 0.5542 0.0817 0.6910  1 P 1.56
28 O 0.1308 0.0060 0.2484  1 P 1.59
29 O 0.9424 0.5803 0.8076  1 P 1.57
30 O 0.7347 0.5508 0.5639  1 P 1.56
31 O 0.2661 0.4488 0.4377  1 P 1.56
32 O 0.1015 0.6373 0.5813  1 P 1.56
33 O 0.7329 0.9728 0.2798  1 P 1.54
34 O 0.8291 0.2682 0.8100  1 P 1.55
35 O 0.3623 0.0803 0.5274  1 P 1.53
36 O 0.1392 0.5795 0.9695  1 P 1.53
37 O 0.6299 0.4920 0.7490  1 P 1.59
38 O 0.7697 0.4685 0.2216  1 P 1.54
39 O 0.4457 0.8363 0.9001  1 P 1.54
40 O 0.6865 0.6813 0.9352  1 P 1.55
41 O 0.4462 0.9175 0.3092  1 P 1.56
42 O 0.3725 0.2943 0.6689  1 P 1.57
43 O 0.3994 0.1400 0.9177  1 P 1.55
44 O 0.0558 0.4201 0.1872  1 P 1.57
45 O 0.3724 0.5061 0.2541  1 P 1.58
46 O 0.5496 0.1704 0.1031  1 P 1.54
47 O 0.5530 0.3916 0.3978  1 P 1.52
48 O 0.0549 0.3352 0.6012  1 P 1.55
49 V 0.2458 0.5348 0.1081  5 O 1.92-2.07
50 V 0.7452 0.5273 0.3947  6 O 1.99-2.16
51 V 0.2541 0.4722 0.6062  6 O 1.99-2.12
52 V 0.2442 0.9720 0.8953  6 O 1.99-2.14
53 P 0.0432 0.7504 0.4897  4 O 1.53-1.56
54 P 0.9569 0.2498 0.5099  4 O 1.53-1.56
55 P 0.8836 0.3811 0.1495  4 O 1.53-1.58
56 P 0.6164 0.6107 0.6489  4 O 1.52-1.59
57 P 0.6156 0.8819 0.3492  4 O 1.53-1.57
58 P 0.3843 0.1178 0.6519  4 O 1.53-1.57
59 P 0.1164 0.8872 0.1479  4 O 1.51-1.59
60 P 0.1138 0.6177 0.8462  4 O 1.53-1.57
61 P 0.5432 0.7511 0.9894  4 O 1.54-1.58
62 P 0.3854 0.3892 0.3536  4 O 1.52-1.58
63 P 0.8840 0.1106 0.8515  4 O 1.52-1.60
64 P 0.4560 0.2526 0.0106  4 O 1.54-1.57
65 Li 0.0650 0.4862 0.3477  4 O 1.99-2.05
66 Li 0.4188 0.4133 0.8097  4 O 1.96-2.09
67 Li 0.3210 0.7224 0.3227  4 O 1.99-2.13
68 Li 0.9212 0.0854 0.3098  4 O 1.91-2.10
69 Li 0.8206 0.7789 0.8226  4 O 1.99-2.12
70 Li 0.6799 0.2770 0.6779  4 O 1.98-2.13
71 Li 0.9352 0.5131 0.6520  4 O 1.96-2.03
72 Li 0.0789 0.9141 0.6901  4 O 1.93-2.08
73 Li 0.1805 0.2206 0.1779  4 O 2.00-2.11
74 Li 0.5639 0.0152 0.8471  4 O 1.96-2.01
75 Li 0.5806 0.5854 0.1912  4 O 1.96-2.08
76 Li 0.4355 0.9890 0.1539  4 O 1.97-2.03
77 Mn 0.2524 0.0357 0.3920  5 O 1.89-2.10
78 Mn 0.7521 0.4634 0.8911  5 O 1.89-2.10
79 Mn 0.7516 0.0278 0.1068  6 O 1.93-2.16
80 Mn 0.7481 0.9648 0.6082  5 O 1.89-2.10

=====

No. 2
A relaxed structure of Li3MnVP3O12, computed with GGA+U.

Crystal system: triclinic
ΔH_f (0 K) (eV/atom): -2.607

abc: 8.7652 8.7961 14.4768
angles: 73.41 74.43 60.99
Last column: nearest neighbours and their distance in Å.
Element x y z (fractional)
1 O 0.9467 0.8531 0.0300  1 P 1.55
2 O 0.3648 0.0600 0.8747  1 P 1.57
3 O 0.6044 0.6945 0.2821  1 P 1.55
4 O 0.8166 0.1065 0.1256  1 P 1.56
5 O 0.2823 0.1406 0.1149  1 P 1.55
6 O 0.3019 0.5871 0.2310  1 P 1.54
7 O 0.7993 0.0840 0.7316  1 P 1.55
8 O 0.6884 0.3898 0.3720  1 P 1.57
9 O 0.6106 0.9149 0.7033  1 P 1.52
10 O 0.8327 0.5519 0.9825  1 P 1.55
11 O 0.7786 0.6444 0.6149  1 P 1.55
12 O 0.3924 0.5310 0.8640  1 P 1.55
13 O 0.2013 0.9107 0.2704  1 P 1.55
14 O 0.6427 0.9423 0.1203  1 P 1.56
15 O 0.5712 0.2014 0.8839  1 P 1.58
16 O 0.9205 0.3008 0.6162  1 P 1.57
17 O 0.8961 0.0296 0.3590  1 P 1.54
18 O 0.1602 0.8692 0.4545  1 P 1.53
19 O 0.0479 0.6759 0.8660  1 P 1.58
20 O 0.1956 0.8901 0.8696  1 P 1.56
21 O 0.8797 0.5893 0.7985  1 P 1.52
22 O 0.8976 0.8043 0.2181  1 P 1.55
23 O 0.3421 0.6301 0.0471  1 P 1.53
24 O 0.1038 0.1970 0.7806  1 P 1.55
25 O 0.6934 0.4162 0.7702  1 P 1.54
26 O 0.4359 0.3634 0.5304  1 P 1.54
27 O 0.6065 0.4679 0.1424  1 P 1.54
28 O 0.7198 0.8548 0.8904  1 P 1.54
29 O 0.1133 0.4100 0.2032  1 P 1.52
30 O 0.6633 0.3614 0.9549  1 P 1.52
31 O 0.3068 0.6168 0.6258  1 P 1.57
32 O 0.3874 0.3168 0.7185  1 P 1.54
33 O 0.1335 0.4502 0.6204  1 P 1.56
34 O 0.9537 0.3165 0.1331  1 P 1.58
35 O 0.0746 0.7000 0.3858  1 P 1.58
36 O 0.1019 0.9719 0.6418  1 P 1.54
37 O 0.8364 0.1319 0.5468  1 P 1.52
38 O 0.4510 0.8224 0.6323  1 P 1.58
39 O 0.6684 0.9446 0.5187  1 P 1.54
40 O 0.3879 0.0875 0.2979  1 P 1.52
41 O 0.1672 0.4427 0.0191  1 P 1.54
42 O 0.4278 0.7985 0.1147  1 P 1.57
43 O 0.0683 0.1375 0.9686  1 P 1.54
44 O 0.5476 0.1791 0.3687  1 P 1.58
45 O 0.8629 0.5538 0.3777  1 P 1.56
46 O 0.3292 0.0575 0.4824  1 P 1.54
47 O 0.2193 0.3577 0.3860  1 P 1.55
48 O 0.5628 0.6387 0.4701  1 P 1.54
49 P 0.0842 0.8807 0.3678  4 O 1.53-1.58
50 P 0.8671 0.6667 0.8833  4 O 1.52-1.58
51 P 0.1803 0.0726 0.8735  4 O 1.54-1.57
52 P 0.5827 0.3810 0.8685  4 O 1.52-1.58
53 P 0.1325 0.3306 0.1178  4 O 1.52-1.58
54 P 0.6778 0.5707 0.3762  4 O 1.54-1.57
55 P 0.4188 0.6174 0.1336  4 O 1.53-1.57
56 P 0.9134 0.1192 0.6329  4 O 1.52-1.57
57 P 0.6307 0.8344 0.6181  4 O 1.52-1.58
58 P 0.3179 0.4344 0.6230  4 O 1.54-1.57
59 P 0.3675 0.1677 0.3829  4 O 1.52-1.58
60 P 0.8273 0.9250 0.1229  4 O 1.55-1.56
61 Li 0.8565 0.9856 0.8869  2 O 2.01-2.21
62 Li 0.7511 0.2510 0.2498  6 O 2.16-2.32
63 Li 0.2649 0.3906 0.8621  2 O 2.04-2.19
64 Li 0.1414 0.0127 0.1124  2 O 2.05-2.16
65 Li 0.5031 0.9964 0.9985  6 O 2.20-2.30
66 Li 0.7357 0.6071 0.1359  1 O 2.00
67 Li 0.2466 0.7521 0.7486  6 O 2.17-2.30
68 Li 0.3587 0.4874 0.3878  4 O 2.04-2.28
69 Li 0.2335 0.1078 0.6371  2 O 2.00-2.24
70 Li 0.7664 0.8919 0.3634  1 O 2.00
71 Li 0.0005 0.5015 0.4997  6 O 2.18-2.31
72 Li 0.6402 0.5144 0.6119  3 O 2.04-2.26
73 V 0.9214 0.4333 0.7132  6 O 1.94-2.07
74 V 0.0773 0.5683 0.2868  6 O 1.96-2.07
75 V 0.1841 0.6723 0.9624  6 O 1.93-2.10
76 V 0.4252 0.9302 0.2128  6 O 1.96-2.07
77 Mn 0.3203 0.8291 0.5346  4 O 1.90-2.02
78 Mn 0.6784 0.1729 0.4649  4 O 1.90-2.02
79 Mn 0.5754 0.0732 0.7844  6 O 1.93-2.16
80 Mn 0.8231 0.3253 0.0352  4 O 1.91-2.01